Here is a relaxed structure of LiFe2B2O6 from Materials Project. Energies are from PBE+U.

Values from the calculation:
For the total magnetization, the calculation gives 9.000 μB per formula unit. Its formation energy is -24.92 eV/f.u.

a = 5.259 Å, b = 9.119 Å, c = 10.094 Å
α = 88.90°, β = 89.25°, γ = 89.04°
Space group P1 (No. 1)
Asymmetric unit:
Li: 0.000 0.000 0.000 x1
Li: 0.003 0.001 0.489 x1
Li: 0.503 0.498 0.483 x1
Li: 0.855 0.840 0.739 x1
Fe: 0.007 0.340 0.959 x1
Fe: 0.343 0.668 0.716 x1
Fe: 0.353 0.006 0.216 x1
Fe: 0.496 0.175 0.464 x1
Fe: 0.513 0.820 0.967 x1
Fe: 0.841 0.508 0.215 x1
Fe: 0.855 0.179 0.711 x1
Fe: 0.988 0.675 0.457 x1
B: 0.007 0.338 0.459 x1
B: 0.019 0.670 0.958 x1
B: 0.336 0.671 0.216 x1
B: 0.350 0.995 0.706 x1
B: 0.497 0.838 0.464 x1
B: 0.504 0.167 0.963 x1
B: 0.840 0.511 0.714 x1
B: 0.841 0.172 0.205 x1
O: 0.079 0.662 0.249 x1
O: 0.087 0.997 0.699 x1
O: 0.264 0.347 0.463 x1
O: 0.268 0.660 0.911 x1
O: 0.350 0.959 0.417 x1
O: 0.354 0.289 0.951 x1
O: 0.366 0.712 0.507 x1
O: 0.396 0.034 0.007 x1
O: 0.429 0.805 0.171 x1
O: 0.478 0.864 0.747 x1
O: 0.494 0.553 0.229 x1
O: 0.495 0.112 0.668 x1
O: 0.585 0.517 0.689 x1
O: 0.593 0.158 0.251 x1
O: 0.755 0.847 0.471 x1
O: 0.769 0.168 0.933 x1
O: 0.858 0.462 0.420 x1
O: 0.882 0.209 0.497 x1
O: 0.889 0.802 0.947 x1
O: 0.907 0.544 0.011 x1
O: 0.928 0.308 0.162 x1
O: 0.956 0.386 0.765 x1
O: 0.983 0.635 0.679 x1
O: 0.999 0.051 0.198 x1


Here is a relaxed structure of LiFe2B2O6 from Materials Project. Energies are from PBE+U.

Values from the calculation:
For the total magnetization, the calculation gives 9.000 μB per formula unit. Its formation energy is -24.93 eV/f.u.

a = 5.227 Å, b = 9.106 Å, c = 11.398 Å
α = 67.33°, β = 77.00°, γ = 89.63°
Space group P1 (No. 1)
Asymmetric unit:
Li: 0.000 0.000 0.000 x1
Li: 0.053 0.035 0.244 x1
Li: 0.245 0.264 0.492 x1
Li: 0.762 0.776 0.756 x1
Fe: 0.017 0.674 0.976 x1
Fe: 0.055 0.382 0.219 x1
Fe: 0.263 0.606 0.470 x1
Fe: 0.285 0.975 0.726 x1
Fe: 0.496 0.189 0.971 x1
Fe: 0.559 0.875 0.223 x1
Fe: 0.758 0.095 0.469 x1
Fe: 0.789 0.455 0.722 x1
B: 0.060 0.724 0.217 x1
B: 0.268 0.935 0.466 x1
B: 0.292 0.637 0.721 x1
B: 0.522 0.853 0.966 x1
B: 0.538 0.207 0.232 x1
B: 0.753 0.422 0.477 x1
B: 0.801 0.139 0.712 x1
B: 0.996 0.344 0.969 x1
O: 0.017 0.954 0.449 x1
O: 0.066 0.152 0.700 x1
O: 0.079 0.454 0.013 x1
O: 0.114 0.206 0.987 x1
O: 0.145 0.739 0.771 x1
O: 0.162 0.553 0.668 x1
O: 0.266 0.690 0.280 x1
O: 0.269 0.863 0.939 x1
O: 0.381 0.037 0.510 x1
O: 0.402 0.327 0.247 x1
O: 0.410 0.819 0.438 x1
O: 0.447 0.103 0.183 x1
O: 0.497 0.441 0.471 x1
O: 0.553 0.622 0.723 x1
O: 0.612 0.959 0.010 x1
O: 0.641 0.242 0.753 x1
O: 0.680 0.741 0.943 x1
O: 0.691 0.025 0.676 x1
O: 0.781 0.178 0.271 x1
O: 0.784 0.376 0.910 x1
O: 0.890 0.513 0.522 x1
O: 0.893 0.308 0.441 x1
O: 0.946 0.866 0.199 x1
O: 0.977 0.619 0.168 x1


Here is a relaxed structure of LiFe2B2O6 from Materials Project. Energies are from PBE+U.

Values from the calculation:
For the total magnetization, the calculation gives 9.000 μB per formula unit. Its formation energy is -24.89 eV/f.u.

a = 5.242 Å, b = 9.059 Å, c = 11.395 Å
α = 66.93°, β = 77.42°, γ = 89.89°
Space group P1 (No. 1)
Asymmetric unit:
Li: 0.000 0.000 0.000 x1
Li: 0.017 0.029 0.272 x1
Li: 0.742 0.736 0.522 x1
Li: 0.785 0.763 0.781 x1
Fe: 0.011 0.345 0.994 x1
Fe: 0.021 0.701 0.248 x1
Fe: 0.249 0.931 0.501 x1
Fe: 0.301 0.611 0.748 x1
Fe: 0.504 0.819 0.008 x1
Fe: 0.538 0.213 0.248 x1
Fe: 0.752 0.416 0.491 x1
Fe: 0.782 0.120 0.749 x1
B: 0.005 0.669 0.991 x1
B: 0.043 0.369 0.248 x1
B: 0.258 0.588 0.493 x1
B: 0.278 0.950 0.754 x1
B: 0.505 0.167 0.999 x1
B: 0.534 0.887 0.243 x1
B: 0.744 0.086 0.494 x1
B: 0.806 0.460 0.740 x1
O: 0.005 0.599 0.465 x1
O: 0.011 0.427 0.803 x1
O: 0.105 0.773 0.037 x1
O: 0.120 0.063 0.776 x1
O: 0.159 0.553 0.965 x1
O: 0.183 0.841 0.711 x1
O: 0.241 0.173 0.004 x1
O: 0.301 0.365 0.244 x1
O: 0.349 0.700 0.534 x1
O: 0.385 0.998 0.282 x1
O: 0.407 0.467 0.487 x1
O: 0.410 0.785 0.206 x1
O: 0.525 0.122 0.443 x1
O: 0.531 0.940 0.776 x1
O: 0.636 0.256 0.047 x1
O: 0.652 0.067 0.947 x1
O: 0.688 0.601 0.720 x1
O: 0.723 0.350 0.695 x1
O: 0.762 0.680 0.966 x1
O: 0.800 0.890 0.237 x1
O: 0.827 0.185 0.550 x1
O: 0.878 0.959 0.485 x1
O: 0.889 0.464 0.299 x1
O: 0.923 0.269 0.203 x1


Here is a relaxed structure of Li9Fe4B8O24 from Materials Project. Energies are from PBE+U.

Values from the calculation:
For the total magnetization, the calculation gives 17.001 μB per formula unit. Its formation energy is -105.16 eV/f.u.

a = 10.349 Å, b = 10.448 Å, c = 11.038 Å
α = 102.71°, β = 102.80°, γ = 119.29°
Space group P1 (No. 1)
Asymmetric unit:
Li: 0.000 0.000 0.000 x1
Li: 0.014 0.559 0.043 x1
Li: 0.028 0.517 0.709 x1
Li: 0.137 0.491 0.264 x1
Li: 0.234 0.395 0.755 x1
Li: 0.263 0.299 0.227 x1
Li: 0.320 0.820 0.297 x1
Li: 0.323 0.184 0.004 x1
Li: 0.422 0.102 0.513 x1
Li: 0.510 0.502 0.984 x1
Li: 0.519 0.062 0.051 x1
Li: 0.536 0.015 0.717 x1
Li: 0.632 0.990 0.267 x1
Li: 0.648 0.697 0.820 x1
Li: 0.761 0.792 0.208 x1
Li: 0.820 0.320 0.290 x1
Li: 0.924 0.605 0.506 x1
Li: 0.948 0.013 0.721 x1
Fe: 0.129 0.963 0.264 x1
Fe: 0.200 0.892 0.764 x1
Fe: 0.358 0.689 0.013 x1
Fe: 0.432 0.620 0.514 x1
Fe: 0.626 0.460 0.258 x1
Fe: 0.698 0.395 0.767 x1
Fe: 0.858 0.193 0.010 x1
Fe: 0.930 0.124 0.509 x1
B: 0.089 0.947 0.523 x1
B: 0.098 0.435 0.503 x1
B: 0.168 0.359 0.010 x1
B: 0.194 0.862 0.024 x1
B: 0.368 0.724 0.756 x1
B: 0.394 0.222 0.771 x1
B: 0.462 0.152 0.264 x1
B: 0.468 0.636 0.256 x1
B: 0.588 0.437 0.514 x1
B: 0.596 0.929 0.505 x1
B: 0.659 0.867 0.014 x1
B: 0.683 0.353 0.019 x1
B: 0.873 0.238 0.758 x1
B: 0.902 0.726 0.776 x1
B: 0.963 0.652 0.261 x1
B: 0.966 0.139 0.254 x1
O: 0.005 0.693 0.736 x1
O: 0.057 0.390 0.034 x1
O: 0.085 0.118 0.240 x1
O: 0.091 0.654 0.247 x1
O: 0.096 0.892 0.072 x1
O: 0.101 0.839 0.569 x1
O: 0.118 0.327 0.543 x1
O: 0.158 0.227 0.020 x1
O: 0.190 0.017 0.461 x1
O: 0.203 0.737 0.033 x1
O: 0.209 0.540 0.466 x1
O: 0.274 0.111 0.799 x1
O: 0.274 0.620 0.808 x1
O: 0.283 0.962 0.966 x1
O: 0.290 0.468 0.980 x1
O: 0.357 0.038 0.302 x1
O: 0.361 0.851 0.749 x1
O: 0.363 0.541 0.306 x1
O: 0.413 0.364 0.791 x1
O: 0.429 0.258 0.230 x1
O: 0.448 0.746 0.217 x1
O: 0.468 0.935 0.507 x1
O: 0.470 0.697 0.709 x1
O: 0.475 0.466 0.524 x1
O: 0.499 0.191 0.732 x1
O: 0.549 0.896 0.042 x1
O: 0.570 0.369 0.058 x1
O: 0.589 0.620 0.240 x1
O: 0.593 0.157 0.252 x1
O: 0.595 0.330 0.564 x1
O: 0.616 0.818 0.536 x1
O: 0.634 0.724 0.006 x1
O: 0.692 0.508 0.454 x1
O: 0.701 0.235 0.038 x1
O: 0.707 0.037 0.468 x1
O: 0.768 0.608 0.785 x1
O: 0.774 0.451 0.964 x1
O: 0.781 0.135 0.811 x1
O: 0.786 0.975 0.990 x1
O: 0.850 0.533 0.291 x1
O: 0.860 0.045 0.305 x1
O: 0.863 0.362 0.749 x1
O: 0.934 0.874 0.807 x1
O: 0.937 0.767 0.243 x1
O: 0.954 0.253 0.218 x1
O: 0.968 0.439 0.502 x1
O: 0.977 0.213 0.711 x1
O: 0.982 0.982 0.545 x1


Offset from the most stable computed form? In order: 13.9; 12.9; 16.8; 6.8 meV/atom.
MP2020-corrected energy? In order: -347.3; -347.3; -347.1; -656.8 eV per cell.